No. 1
A relaxed Sr3Pr3Mn2Cu2O13 crystal, computed with GGA+U.

For the calculated formation energy, the calculation gives -2.68 eV per atom.

The structure in CIF format:
```
data_Sr3Pr3Mn2Cu2O13
_chemical_formula_sum 'Sr3 Pr3 Mn2 Cu2 O13'
_cell_length_a 5.466
_cell_length_b 10.547
_cell_length_c 10.547
_cell_angle_alpha 30.00
_cell_angle_beta 90.00
_cell_angle_gamma 90.00
_symmetry_space_group_name_H-M 'P 1'
_symmetry_Int_Tables_number 1
_symmetry_space_group_name_Hall 'P 1'
loop_
_atom_site_label
_atom_site_fract_x
_atom_site_fract_y
_atom_site_fract_z
Sr1 0.000 0.000 0.000
Sr2 0.000 0.180 0.180
Sr3 0.500 0.681 0.681
Pr1 0.000 0.363 0.363
Pr2 0.500 0.505 0.505
Pr3 0.500 0.862 0.862
Mn1 0.000 0.588 0.588
Mn2 0.000 0.777 0.777
Cu1 0.500 0.084 0.084
Cu2 0.500 0.280 0.280
O1 0.000 0.481 0.481
O2 0.000 0.685 0.685
O3 0.000 0.877 0.877
O4 0.249 0.034 0.528
O5 0.249 0.528 0.034
O6 0.256 0.341 0.837
O7 0.256 0.837 0.341
O8 0.500 0.391 0.391
O9 0.500 0.973 0.973
O10 0.744 0.341 0.837
O11 0.744 0.837 0.341
O12 0.751 0.034 0.528
O13 0.751 0.528 0.034
```

=====

No. 2
A relaxed MnCu2S2O8 crystal, computed with GGA+U.

The value obtained for the total magnetic moment is 0.23 μB/atom. For the calculated formation energy, the calculation gives -1.18 eV per atom.

The structure in CIF format:
```
data_MnCu2S2O8
_chemical_formula_sum 'Mn2 Cu4 S4 O16'
_cell_length_a 6.031
_cell_length_b 7.984
_cell_length_c 9.451
_cell_angle_alpha 90.00
_cell_angle_beta 127.80
_cell_angle_gamma 90.00
_symmetry_space_group_name_H-M 'P 1'
_symmetry_Int_Tables_number 1
_symmetry_space_group_name_Hall 'P 1'
loop_
_atom_site_label
_atom_site_fract_x
_atom_site_fract_y
_atom_site_fract_z
Mn1 0.000 0.000 0.000
Mn2 0.000 0.500 0.500
Cu1 0.236 0.144 0.485
Cu2 0.236 0.356 0.985
Cu3 0.764 0.644 0.015
Cu4 0.764 0.856 0.515
S1 0.139 0.616 0.878
S2 0.139 0.884 0.378
S3 0.861 0.116 0.622
S4 0.861 0.384 0.122
O1 0.013 0.218 0.568
O2 0.013 0.282 0.068
O3 0.062 0.121 0.828
O4 0.062 0.379 0.328
O5 0.355 0.501 0.659
O6 0.355 0.999 0.159
O7 0.398 0.713 0.942
O8 0.398 0.787 0.442
O9 0.602 0.213 0.558
O10 0.602 0.287 0.058
O11 0.645 0.001 0.841
O12 0.645 0.499 0.341
O13 0.938 0.621 0.672
O14 0.938 0.879 0.172
O15 0.987 0.718 0.932
O16 0.987 0.782 0.432
```

=====

No. 3
A relaxed Sr8Mn6Cu4S4O15 crystal, computed with GGA+U.

The value obtained for the total magnetic moment is 0.65 μB/atom. For the calculated formation energy, the calculation gives -2.19 eV per atom.

The structure in CIF format:
```
data_Sr8Mn6Cu4S4O15
_chemical_formula_sum 'Sr8 Mn6 Cu4 S4 O15'
_cell_length_a 17.564
_cell_length_b 17.564
_cell_length_c 5.585
_cell_angle_alpha 90.05
_cell_angle_beta 90.05
_cell_angle_gamma 161.70
_symmetry_space_group_name_H-M 'P 1'
_symmetry_Int_Tables_number 1
_symmetry_space_group_name_Hall 'P 1'
loop_
_atom_site_label
_atom_site_fract_x
_atom_site_fract_y
_atom_site_fract_z
Sr1 0.082 0.414 0.252
Sr2 0.184 0.300 0.258
Sr3 0.300 0.184 0.258
Sr4 0.414 0.082 0.252
Sr5 0.586 0.918 0.748
Sr6 0.700 0.816 0.742
Sr7 0.816 0.700 0.742
Sr8 0.918 0.586 0.748
Mn1 0.140 0.367 0.754
Mn2 0.243 0.243 0.743
Mn3 0.367 0.140 0.754
Mn4 0.633 0.860 0.246
Mn5 0.757 0.757 0.257
Mn6 0.860 0.633 0.246
Cu1 0.250 0.750 0.000
Cu2 0.250 0.750 0.500
Cu3 0.750 0.250 0.000
Cu4 0.750 0.250 0.500
S1 0.039 0.459 0.750
S2 0.459 0.039 0.750
S3 0.541 0.961 0.250
S4 0.961 0.541 0.250
O1 0.000 0.000 0.000
O2 0.000 0.000 0.500
O3 0.117 0.883 0.500
O4 0.121 0.879 0.000
O5 0.226 0.335 0.780
O6 0.335 0.226 0.780
O7 0.376 0.624 0.000
O8 0.379 0.621 0.500
O9 0.500 0.500 0.500
O10 0.621 0.379 0.500
O11 0.624 0.376 0.000
O12 0.665 0.774 0.220
O13 0.774 0.665 0.220
O14 0.879 0.121 0.000
O15 0.883 0.117 0.500
```

=====

No. 4
A relaxed Sr4Mn2Cu3S4O4 crystal, computed with GGA+U.

The value obtained for the total magnetic moment is 0.53 μB/atom. For the calculated formation energy, the calculation gives -1.90 eV per atom.

The structure in CIF format:
```
data_Sr4Mn2Cu3S4O4
_chemical_formula_sum 'Sr8 Mn4 Cu6 S8 O8'
_cell_length_a 10.738
_cell_length_b 10.738
_cell_length_c 10.738
_cell_angle_alpha 149.08
_cell_angle_beta 115.50
_cell_angle_gamma 73.24
_symmetry_space_group_name_H-M 'P 1'
_symmetry_Int_Tables_number 1
_symmetry_space_group_name_Hall 'P 1'
loop_
_atom_site_label
_atom_site_fract_x
_atom_site_fract_y
_atom_site_fract_z
Sr1 0.024 0.143 0.368
Sr2 0.224 0.344 0.368
Sr3 0.276 0.643 0.120
Sr4 0.476 0.844 0.120
Sr5 0.524 0.156 0.880
Sr6 0.724 0.357 0.880
Sr7 0.776 0.656 0.632
Sr8 0.976 0.857 0.632
Mn1 0.126 0.745 0.871
Mn2 0.374 0.245 0.620
Mn3 0.626 0.755 0.380
Mn4 0.874 0.255 0.129
Cu1 0.005 0.250 0.755
Cu2 0.250 0.750 0.500
Cu3 0.495 0.250 0.245
Cu4 0.505 0.750 0.755
Cu5 0.750 0.250 0.500
Cu6 0.995 0.750 0.245
S1 0.045 0.431 0.131
S2 0.201 0.069 0.614
S3 0.299 0.914 0.869
S4 0.455 0.586 0.386
S5 0.545 0.414 0.614
S6 0.701 0.086 0.131
S7 0.799 0.931 0.386
S8 0.955 0.569 0.869
O1 0.000 0.000 0.000
O2 0.000 0.500 0.500
O3 0.250 0.493 0.743
O4 0.250 0.993 0.243
O5 0.500 0.000 0.500
O6 0.500 0.500 0.000
O7 0.750 0.007 0.757
O8 0.750 0.507 0.257
```

=====

No. 5
A relaxed Sr2MnCuSO3 crystal, computed with GGA+U.

The value obtained for the total magnetic moment is 0.51 μB/atom. For the calculated formation energy, the calculation gives -2.22 eV per atom.

The structure in CIF format:
```
data_Sr2MnCuSO3
_chemical_formula_sum 'Sr4 Mn2 Cu2 S2 O6'
_cell_length_a 3.913
_cell_length_b 3.913
_cell_length_c 16.103
_cell_angle_alpha 90.00
_cell_angle_beta 90.00
_cell_angle_gamma 90.00
_symmetry_space_group_name_H-M 'P 1'
_symmetry_Int_Tables_number 1
_symmetry_space_group_name_Hall 'P 1'
loop_
_atom_site_label
_atom_site_fract_x
_atom_site_fract_y
_atom_site_fract_z
Sr1 0.250 0.250 0.083
Sr2 0.250 0.250 0.313
Sr3 0.750 0.750 0.687
Sr4 0.750 0.750 0.917
Mn1 0.250 0.250 0.806
Mn2 0.750 0.750 0.194
Cu1 0.250 0.750 0.500
Cu2 0.750 0.250 0.500
S1 0.250 0.250 0.586
S2 0.750 0.750 0.414
O1 0.250 0.250 0.932
O2 0.250 0.750 0.215
O3 0.250 0.750 0.785
O4 0.750 0.250 0.215
O5 0.750 0.250 0.785
O6 0.750 0.750 0.068
```

=====

No. 6
A relaxed Sr3Mn2Cu2S2O5 crystal, computed with GGA+U.

The value obtained for the total magnetic moment is 0.00 μB/atom. For the calculated formation energy, the calculation gives -2.08 eV per atom.

The structure in CIF format:
```
data_Sr3Mn2Cu2S2O5
_chemical_formula_sum 'Sr3 Mn2 Cu2 S2 O5'
_cell_length_a 14.037
_cell_length_b 14.037
_cell_length_c 14.037
_cell_angle_alpha 163.94
_cell_angle_beta 163.94
_cell_angle_gamma 22.78
_symmetry_space_group_name_H-M 'P 1'
_symmetry_Int_Tables_number 1
_symmetry_space_group_name_Hall 'P 1'
loop_
_atom_site_label
_atom_site_fract_x
_atom_site_fract_y
_atom_site_fract_z
Sr1 0.000 0.000 0.000
Sr2 0.140 0.140 0.000
Sr3 0.281 0.281 0.000
Mn1 0.567 0.567 0.000
Mn2 0.714 0.714 0.000
Cu1 0.390 0.890 0.500
Cu2 0.890 0.390 0.500
S1 0.441 0.441 0.000
S2 0.840 0.840 0.000
O1 0.057 0.557 0.500
O2 0.224 0.724 0.500
O3 0.557 0.057 0.500
O4 0.640 0.640 0.000
O5 0.724 0.224 0.500
```

=====

No. 7
A relaxed Sr4Mn2Cu3S4O4 crystal, computed with GGA+U.

The value obtained for the total magnetic moment is 0.53 μB/atom. For the calculated formation energy, the calculation gives -1.90 eV per atom.

The structure in CIF format:
```
data_Sr4Mn2Cu3S4O4
_chemical_formula_sum 'Sr8 Mn4 Cu6 S8 O8'
_cell_length_a 5.725
_cell_length_b 11.450
_cell_length_c 9.076
_cell_angle_alpha 90.00
_cell_angle_beta 108.39
_cell_angle_gamma 90.00
_symmetry_space_group_name_H-M 'P 1'
_symmetry_Int_Tables_number 1
_symmetry_space_group_name_Hall 'P 1'
loop_
_atom_site_label
_atom_site_fract_x
_atom_site_fract_y
_atom_site_fract_z
S1 0.168 0.502 0.344
S2 0.676 0.748 0.344
S3 0.168 0.002 0.344
S4 0.324 0.248 0.656
S5 0.832 0.502 0.656
S6 0.676 0.248 0.344
S7 0.832 0.002 0.656
S8 0.324 0.748 0.656
Cu1 0.000 0.375 0.500
Cu2 0.500 0.125 0.500
Cu3 0.000 0.125 0.500
Cu4 0.000 0.875 0.500
Cu5 0.500 0.625 0.500
Cu6 0.000 0.625 0.500
Sr1 0.898 0.251 0.799
Sr2 0.898 0.751 0.799
Sr3 0.401 0.999 0.799
Sr4 0.599 0.499 0.201
Sr5 0.102 0.751 0.201
Sr6 0.599 0.999 0.201
Sr7 0.401 0.499 0.799
Sr8 0.102 0.251 0.201
Mn1 0.500 0.249 0.000
Mn2 0.500 0.749 0.000
Mn3 0.000 0.001 0.000
Mn4 0.000 0.501 0.000
O1 0.252 0.625 0.003
O2 0.250 0.875 0.000
O3 0.252 0.125 0.003
O4 0.250 0.375 0.000
O5 0.750 0.875 0.000
O6 0.750 0.375 0.000
O7 0.748 0.125 0.997
O8 0.748 0.625 0.997
```

=====

No. 8
A relaxed MnCu2SbO4 crystal, computed with GGA+U.

The value obtained for the total magnetic moment is 0.50 μB/atom. For the calculated formation energy, the calculation gives -1.25 eV per atom.

The structure in CIF format:
```
data_MnCu2SbO4
_chemical_formula_sum 'Mn1 Cu2 Sb1 O4'
_cell_length_a 3.375
_cell_length_b 3.375
_cell_length_c 11.642
_cell_angle_alpha 90.00
_cell_angle_beta 90.00
_cell_angle_gamma 120.00
_symmetry_space_group_name_H-M 'P 1'
_symmetry_Int_Tables_number 1
_symmetry_space_group_name_Hall 'P 1'
loop_
_atom_site_label
_atom_site_fract_x
_atom_site_fract_y
_atom_site_fract_z
Mn1 0.000 0.000 0.000
Cu1 0.333 0.667 0.765
Cu2 0.667 0.333 0.235
Sb1 0.000 0.000 0.500
O1 0.333 0.667 0.606
O2 0.333 0.667 0.920
O3 0.667 0.333 0.080
O4 0.667 0.333 0.394
```

=====

No. 9
A relaxed SmMn4Cu3O12 crystal, computed with GGA+U.

The value obtained for the total magnetic moment is 0.80 μB/atom. For the calculated formation energy, the calculation gives -1.85 eV per atom.

The structure in CIF format:
```
data_SmMn4Cu3O12
_chemical_formula_sum 'Sm1 Mn4 Cu3 O12'
_cell_length_a 6.441
_cell_length_b 6.441
_cell_length_c 6.441
_cell_angle_alpha 109.47
_cell_angle_beta 109.47
_cell_angle_gamma 109.47
_symmetry_space_group_name_H-M 'P 1'
_symmetry_Int_Tables_number 1
_symmetry_space_group_name_Hall 'P 1'
loop_
_atom_site_label
_atom_site_fract_x
_atom_site_fract_y
_atom_site_fract_z
Sm1 0.000 0.000 0.000
Mn1 0.000 0.000 0.500
Mn2 0.000 0.500 0.000
Mn3 0.500 0.000 0.000
Mn4 0.500 0.500 0.500
Cu1 0.000 0.500 0.500
Cu2 0.500 0.000 0.500
Cu3 0.500 0.500 0.000
O1 0.134 0.304 0.830
O2 0.170 0.475 0.304
O3 0.170 0.866 0.696
O4 0.304 0.170 0.475
O5 0.304 0.830 0.134
O6 0.475 0.304 0.170
O7 0.525 0.696 0.830
O8 0.696 0.170 0.866
O9 0.696 0.830 0.525
O10 0.830 0.134 0.304
O11 0.830 0.525 0.696
O12 0.866 0.696 0.170
```

=====

No. 10
A relaxed MnCuTe4O10 crystal, computed with GGA+U.

The value obtained for the total magnetic moment is 0.25 μB/atom. For the calculated formation energy, the calculation gives -1.51 eV per atom.

The structure in CIF format:
```
data_MnCuTe4O10
_chemical_formula_sum 'Mn4 Cu4 Te16 O40'
_cell_length_a 8.969
_cell_length_b 8.969
_cell_length_c 12.889
_cell_angle_alpha 90.00
_cell_angle_beta 90.00
_cell_angle_gamma 90.00
_symmetry_space_group_name_H-M 'P 1'
_symmetry_Int_Tables_number 1
_symmetry_space_group_name_Hall 'P 1'
loop_
_atom_site_label
_atom_site_fract_x
_atom_site_fract_y
_atom_site_fract_z
Mn1 0.250 0.250 0.000
Mn2 0.250 0.250 0.500
Mn3 0.750 0.750 0.000
Mn4 0.750 0.750 0.500
Cu1 0.250 0.250 0.250
Cu2 0.250 0.250 0.750
Cu3 0.750 0.750 0.250
Cu4 0.750 0.750 0.750
Te1 0.034 0.570 0.117
Te2 0.034 0.930 0.883
Te3 0.070 0.534 0.617
Te4 0.070 0.966 0.383
Te5 0.430 0.534 0.383
Te6 0.430 0.966 0.617
Te7 0.466 0.570 0.883
Te8 0.466 0.930 0.117
Te9 0.534 0.070 0.883
Te10 0.534 0.430 0.117
Te11 0.570 0.034 0.383
Te12 0.570 0.466 0.617
Te13 0.930 0.034 0.617
Te14 0.930 0.466 0.383
Te15 0.966 0.070 0.117
Te16 0.966 0.430 0.883
O1 0.017 0.122 0.951
O2 0.017 0.378 0.049
O3 0.044 0.044 0.750
O4 0.044 0.456 0.250
O5 0.117 0.173 0.364
O6 0.117 0.327 0.636
O7 0.122 0.017 0.549
O8 0.122 0.483 0.451
O9 0.173 0.117 0.136
O10 0.173 0.383 0.864
O11 0.327 0.117 0.864
O12 0.327 0.383 0.136
O13 0.378 0.017 0.451
O14 0.378 0.483 0.549
O15 0.383 0.173 0.636
O16 0.383 0.327 0.364
O17 0.456 0.044 0.250
O18 0.456 0.456 0.750
O19 0.483 0.122 0.049
O20 0.483 0.378 0.951
O21 0.517 0.622 0.049
O22 0.517 0.878 0.951
O23 0.544 0.544 0.250
O24 0.544 0.956 0.750
O25 0.617 0.673 0.636
O26 0.617 0.827 0.364
O27 0.622 0.517 0.451
O28 0.622 0.983 0.549
O29 0.673 0.617 0.864
O30 0.673 0.883 0.136
O31 0.827 0.617 0.136
O32 0.827 0.883 0.864
O33 0.878 0.517 0.549
O34 0.878 0.983 0.451
O35 0.883 0.673 0.364
O36 0.883 0.827 0.636
O37 0.956 0.544 0.750
O38 0.956 0.956 0.250
O39 0.983 0.622 0.951
O40 0.983 0.878 0.049
```

=====

No. 11
A relaxed Mn3Cu3Te2O16 crystal, computed with GGA+U.

The value obtained for the total magnetic moment is 0.45 μB/atom. For the calculated formation energy, the calculation gives -1.33 eV per atom.

The structure in CIF format:
```
data_Mn3Cu3Te2O16
_chemical_formula_sum 'Mn3 Cu3 Te2 O16'
_cell_length_a 5.849
_cell_length_b 5.951
_cell_length_c 9.222
_cell_angle_alpha 92.40
_cell_angle_beta 90.03
_cell_angle_gamma 119.43
_symmetry_space_group_name_H-M 'P 1'
_symmetry_Int_Tables_number 1
_symmetry_space_group_name_Hall 'P 1'
loop_
_atom_site_label
_atom_site_fract_x
_atom_site_fract_y
_atom_site_fract_z
Mn1 0.000 0.000 0.000
Mn2 0.169 0.835 0.497
Mn3 0.502 0.000 0.000
Cu1 0.167 0.337 0.501
Cu2 0.505 0.508 0.998
Cu3 0.672 0.336 0.501
Te1 0.004 0.505 0.224
Te2 0.665 0.829 0.719
O1 0.010 0.516 0.593
O2 0.165 0.828 0.106
O3 0.167 0.338 0.114
O4 0.310 0.682 0.360
O5 0.329 0.156 0.906
O6 0.332 0.164 0.410
O7 0.375 0.703 0.864
O8 0.498 0.496 0.617
O9 0.501 0.988 0.615
O10 0.674 0.338 0.114
O11 0.677 0.852 0.100
O12 0.815 0.129 0.874
O13 0.829 0.703 0.864
O14 0.861 0.219 0.361
O15 0.873 0.681 0.360
O16 0.989 0.988 0.616
```

=====

No. 12
A relaxed ThMn4Cu3O12 crystal, computed with GGA+U.

The value obtained for the total magnetic moment is 0.57 μB/atom. For the calculated formation energy, the calculation gives -1.95 eV per atom.

The structure in CIF format:
```
data_ThMn4Cu3O12
_chemical_formula_sum 'Th1 Mn4 Cu3 O12'
_cell_length_a 6.494
_cell_length_b 6.494
_cell_length_c 6.494
_cell_angle_alpha 109.47
_cell_angle_beta 109.47
_cell_angle_gamma 109.47
_symmetry_space_group_name_H-M 'P 1'
_symmetry_Int_Tables_number 1
_symmetry_space_group_name_Hall 'P 1'
loop_
_atom_site_label
_atom_site_fract_x
_atom_site_fract_y
_atom_site_fract_z
Th1 0.000 0.000 0.000
Mn1 0.000 0.000 0.500
Mn2 0.000 0.500 0.000
Mn3 0.500 0.000 0.000
Mn4 0.500 0.500 0.500
Cu1 0.000 0.500 0.500
Cu2 0.500 0.000 0.500
Cu3 0.500 0.500 0.000
O1 0.129 0.300 0.829
O2 0.171 0.471 0.300
O3 0.171 0.871 0.700
O4 0.300 0.171 0.471
O5 0.300 0.829 0.129
O6 0.471 0.300 0.171
O7 0.529 0.700 0.829
O8 0.700 0.171 0.871
O9 0.700 0.829 0.529
O10 0.829 0.129 0.300
O11 0.829 0.529 0.700
O12 0.871 0.700 0.171
```

=====

no.,E (eV/atom)
1,-6.937
2,-5.642
3,-6.336
4,-5.761
5,-6.139
6,-6.138
7,-5.758
8,-5.860
9,-6.753
10,-5.682
11,-5.880
12,-6.990